Entry 1:
# TbFeSi, relaxed, DFT PBE-GGA
# - calculated total energy (eV per atom) = -6.81
# - energy relative to the elements (meV per atom) = -607.8
data_TbFeSi
_cell_length_a 4.041
_cell_length_b 4.041
_cell_length_c 6.580
_cell_angle_alpha 90.00
_cell_angle_beta 90.00
_cell_angle_gamma 90.00
_symmetry_space_group_name_H-M 'P 4/n m m'
_symmetry_Int_Tables_number 129
loop_
_symmetry_equiv_pos_as_xyz
'x,y,z'
'-x,-y,-z'
'-y+1/2,x,z'
'y+1/2,-x,-z'
'-x+1/2,-y+1/2,z'
'x+1/2,y+1/2,-z'
'y,-x+1/2,z'
'-y,x+1/2,-z'
'x+1/2,-y,-z'
'-x+1/2,y,z'
'-y,-x,-z'
'y,x,z'
'-x,y+1/2,-z'
'x,-y+1/2,z'
'y+1/2,x+1/2,-z'
'-y+1/2,-x+1/2,z'
loop_
_atom_site_label
_atom_site_fract_x
_atom_site_fract_y
_atom_site_fract_z
Tb1 0.250 0.250 0.186
Fe1 0.250 0.750 0.500
Si1 0.250 0.250 0.676


Entry 2:
# TbFeSi2, relaxed, DFT PBE-GGA
# - calculated total energy (eV per atom) = -6.71
# - energy relative to the elements (meV per atom) = -686.5
data_TbFeSi2
_cell_length_a 4.285
_cell_length_b 3.951
_cell_length_c 7.951
_cell_angle_alpha 90.00
_cell_angle_beta 103.09
_cell_angle_gamma 90.00
_symmetry_space_group_name_H-M 'P 1 21/m 1'
_symmetry_Int_Tables_number 11
_symmetry_space_group_name_Hall '-P 2yb'
loop_
_atom_site_label
_atom_site_fract_x
_atom_site_fract_y
_atom_site_fract_z
Tb1 0.096 0.250 0.205
Fe1 0.383 0.250 0.609
Si1 0.171 0.750 0.492
Si2 0.460 0.250 0.902


Entry 3:
# Tb2FeSi2, relaxed, DFT PBE-GGA
# - calculated total energy (eV per atom) = -6.41
# - energy relative to the elements (meV per atom) = -660.3
data_Tb2FeSi2
_cell_length_a 10.597
_cell_length_b 4.149
_cell_length_c 10.024
_cell_angle_alpha 90.00
_cell_angle_beta 119.57
_cell_angle_gamma 90.00
_symmetry_space_group_name_H-M 'C 1 2/m 1'
_symmetry_Int_Tables_number 12
_symmetry_space_group_name_Hall '-C 2y'
loop_
_atom_site_label
_atom_site_fract_x
_atom_site_fract_y
_atom_site_fract_z
Tb1 0.001 0.000 0.172
Tb2 0.189 0.000 0.608
Fe1 0.228 0.500 0.877
Si1 0.002 0.500 0.627
Si2 0.157 0.500 0.064


Entry 4:
# ThFe2Si2, relaxed, DFT PBE-GGA
# - calculated total energy (eV per atom) = -7.75
# - energy relative to the elements (meV per atom) = -680.2
data_ThFe2Si2
_cell_length_a 4.035
_cell_length_b 4.035
_cell_length_c 9.595
_cell_angle_alpha 90.00
_cell_angle_beta 90.00
_cell_angle_gamma 90.00
_symmetry_space_group_name_H-M 'I 4/m m m'
_symmetry_Int_Tables_number 139
_symmetry_space_group_name_Hall '-I 4 2'
loop_
_atom_site_label
_atom_site_fract_x
_atom_site_fract_y
_atom_site_fract_z
Th1 0.000 0.000 0.000
Fe1 0.000 0.500 0.250
Si1 0.000 0.000 0.362


Entry 5:
# Ti2FeSi, relaxed, DFT PBE-GGA
# - calculated total energy (eV per atom) = -7.79
# - energy relative to the elements (meV per atom) = -348.0
data_Ti2FeSi
_cell_length_a 6.004
_cell_length_b 6.004
_cell_length_c 6.004
_cell_angle_alpha 90.00
_cell_angle_beta 90.00
_cell_angle_gamma 90.00
_symmetry_space_group_name_H-M 'F -4 3 m'
_symmetry_Int_Tables_number 216
_symmetry_space_group_name_Hall 'F -4 2 3'
loop_
_atom_site_label
_atom_site_fract_x
_atom_site_fract_y
_atom_site_fract_z
Ti1 0.000 0.000 0.000
Ti2 0.250 0.250 0.250
Fe1 0.250 0.250 0.750
Si1 0.000 0.000 0.500


Entry 6:
# TiFeSi, relaxed, DFT PBE-GGA
# - calculated total energy (eV per atom) = -8.00
# - energy relative to the elements (meV per atom) = -712.1
data_TiFeSi
_cell_length_a 6.941
_cell_length_b 10.747
_cell_length_c 6.259
_cell_angle_alpha 90.00
_cell_angle_beta 90.00
_cell_angle_gamma 90.00
_symmetry_space_group_name_H-M 'I m a 2'
_symmetry_Int_Tables_number 46
_symmetry_space_group_name_Hall 'I 2 -2a'
loop_
_atom_site_label
_atom_site_fract_x
_atom_site_fract_y
_atom_site_fract_z
Ti1 0.250 0.003 0.000
Ti2 0.250 0.226 0.349
Ti3 0.250 0.696 0.883
Fe1 0.000 0.000 0.335
Fe2 0.034 0.623 0.205
Si1 0.008 0.667 0.579
Si2 0.250 0.030 0.591